No. 1
# Sr2TbBiO6

A geometry-optimized Sr2TbBiO6 structure (meta-GGA r2SCAN, Materials Project).

Geometry as CIF:
```
data_Sr2TbBiO6
_cell_length_a 8.477
_cell_length_b 8.477
_cell_length_c 8.477
_cell_angle_alpha 90.00
_cell_angle_beta 90.00
_cell_angle_gamma 90.00
_symmetry_space_group_name_H-M 'P n -3'
_symmetry_Int_Tables_number 201
loop_
_symmetry_equiv_pos_as_xyz
'x,y,z'
'-x,-y,-z'
'-x+1/2,-y+1/2,z'
'x+1/2,y+1/2,-z'
'x,-y+1/2,-z+1/2'
'-x,y+1/2,z+1/2'
'-x+1/2,y,-z+1/2'
'x+1/2,-y,z+1/2'
'z,x,y'
'-z,-x,-y'
'z,-x+1/2,-y+1/2'
'-z,x+1/2,y+1/2'
'-z+1/2,x,-y+1/2'
'z+1/2,-x,y+1/2'
'-z+1/2,-x+1/2,y'
'z+1/2,x+1/2,-y'
'y,z,x'
'-y,-z,-x'
'-y+1/2,z,-x+1/2'
'y+1/2,-z,x+1/2'
'-y+1/2,-z+1/2,x'
'y+1/2,z+1/2,-x'
'y,-z+1/2,-x+1/2'
'-y,z+1/2,x+1/2'
loop_
_atom_site_label
_atom_site_fract_x
_atom_site_fract_y
_atom_site_fract_z
Sr1 0.250 0.250 0.250
Sr2 0.250 0.250 0.750
Tb1 0.000 0.000 0.000
Bi1 0.000 0.000 0.500
O1 0.035 0.542 0.758
```

Calculated values
Its electronic total energy is -18.228 eV/atom. The density is 6968 kg/m3. As for the formation enthalpy at 0 K: -2642 meV per atom.



No. 2
# Ta2Bi4O11

A geometry-optimized Ta2Bi4O11 structure (meta-GGA r2SCAN, Materials Project).

Geometry as CIF:
```
data_Ta2Bi4O11
_cell_length_a 6.591
_cell_length_b 7.668
_cell_length_c 9.910
_cell_angle_alpha 78.90
_cell_angle_beta 89.76
_cell_angle_gamma 89.92
_symmetry_space_group_name_H-M 'P -1'
_symmetry_Int_Tables_number 2
_symmetry_space_group_name_Hall '-P 1'
loop_
_atom_site_label
_atom_site_fract_x
_atom_site_fract_y
_atom_site_fract_z
Ta1 0.087 0.297 0.312
Ta2 0.091 0.798 0.309
Bi1 0.241 0.627 0.979
Bi2 0.248 0.128 0.979
Bi3 0.384 0.455 0.667
Bi4 0.435 0.953 0.682
O1 0.002 0.218 0.500
O2 0.020 0.547 0.312
O3 0.092 0.362 0.098
O4 0.112 0.832 0.103
O5 0.164 0.053 0.288
O6 0.214 0.149 0.737
O7 0.217 0.729 0.738
O8 0.371 0.341 0.333
O9 0.372 0.743 0.349
O10 0.409 0.392 0.883
O11 0.457 0.908 0.896
```

Calculated values
Its electronic total energy is -25.471 eV/atom. The density is 9284 kg/m3. As for the formation enthalpy at 0 K: -2124 meV per atom.



No. 3
# TaBiO4

A geometry-optimized TaBiO4 structure (meta-GGA r2SCAN, Materials Project).

Geometry as CIF:
```
data_TaBiO4
_cell_length_a 5.574
_cell_length_b 7.692
_cell_length_c 7.771
_cell_angle_alpha 102.44
_cell_angle_beta 90.04
_cell_angle_gamma 93.36
_symmetry_space_group_name_H-M 'P -1'
_symmetry_Int_Tables_number 2
_symmetry_space_group_name_Hall '-P 1'
loop_
_atom_site_label
_atom_site_fract_x
_atom_site_fract_y
_atom_site_fract_z
Ta1 0.224 0.343 0.193
Ta2 0.243 0.325 0.692
Bi1 0.234 0.881 0.117
Bi2 0.289 0.832 0.613
O1 0.011 0.894 0.822
O2 0.042 0.833 0.366
O3 0.078 0.550 0.724
O4 0.154 0.319 0.947
O5 0.302 0.329 0.449
O6 0.439 0.546 0.216
O7 0.441 0.108 0.673
O8 0.457 0.153 0.140
```

Calculated values
Its electronic total energy is -24.267 eV/atom. The density is 9283 kg/m3. As for the formation enthalpy at 0 K: -2436 meV per atom.



No. 4
# TaBiO4

A geometry-optimized TaBiO4 structure (meta-GGA r2SCAN, Materials Project).

Geometry as CIF:
```
data_TaBiO4
_cell_length_a 5.662
_cell_length_b 11.793
_cell_length_c 4.980
_cell_angle_alpha 90.00
_cell_angle_beta 90.00
_cell_angle_gamma 90.00
_symmetry_space_group_name_H-M 'P n n a'
_symmetry_Int_Tables_number 52
_symmetry_space_group_name_Hall '-P 2a 2bc'
loop_
_atom_site_label
_atom_site_fract_x
_atom_site_fract_y
_atom_site_fract_z
Ta1 0.134 0.250 0.250
Bi1 0.250 0.000 0.724
O1 0.084 0.098 0.413
O2 0.145 0.695 0.507
```

Calculated values
Its electronic total energy is -24.270 eV/atom. The density is 9067 kg/m3. As for the formation enthalpy at 0 K: -2439 meV per atom.



No. 5
# TcBi3O8

A geometry-optimized TcBi3O8 structure (meta-GGA r2SCAN, Materials Project).

Geometry as CIF:
```
data_TcBi3O8
_cell_length_a 11.506
_cell_length_b 11.506
_cell_length_c 11.506
_cell_angle_alpha 90.00
_cell_angle_beta 90.00
_cell_angle_gamma 90.00
_symmetry_space_group_name_H-M 'P 21 3'
_symmetry_Int_Tables_number 198
_symmetry_space_group_name_Hall 'P 2ac 2ab 3'
loop_
_atom_site_label
_atom_site_fract_x
_atom_site_fract_y
_atom_site_fract_z
Tc1 0.116 0.116 0.116
Tc2 0.120 0.880 0.380
Bi1 0.113 0.145 0.642
Bi2 0.116 0.850 0.863
O1 0.002 0.745 0.728
O2 0.003 0.742 0.969
O3 0.029 0.029 0.029
O4 0.034 0.966 0.466
O5 0.056 0.858 0.247
O6 0.060 0.118 0.253
O7 0.219 0.281 0.719
O8 0.229 0.729 0.771
```

Calculated values
Its electronic total energy is -22.250 eV/atom. The density is 7438 kg/m3. As for the formation enthalpy at 0 K: -1479 meV per atom.



No. 6
# Bi2Te4O11

A geometry-optimized Bi2Te4O11 structure (meta-GGA r2SCAN, Materials Project).

Geometry as CIF:
```
data_Bi2Te4O11
_cell_length_a 6.982
_cell_length_b 7.981
_cell_length_c 19.565
_cell_angle_alpha 90.00
_cell_angle_beta 105.95
_cell_angle_gamma 90.00
_symmetry_space_group_name_H-M 'P 1 21/c 1'
_symmetry_Int_Tables_number 14
_symmetry_space_group_name_Hall '-P 2ybc'
loop_
_atom_site_label
_atom_site_fract_x
_atom_site_fract_y
_atom_site_fract_z
Bi1 0.150 0.118 0.078
Bi2 0.341 0.611 0.915
Te1 0.034 0.164 0.255
Te2 0.182 0.642 0.072
Te3 0.338 0.119 0.925
Te4 0.490 0.086 0.743
O1 0.056 0.674 0.969
O2 0.061 0.647 0.344
O3 0.097 0.074 0.958
O4 0.205 0.525 0.768
O5 0.210 0.155 0.751
O6 0.242 0.168 0.392
O7 0.323 0.655 0.583
O8 0.367 0.518 0.037
O9 0.385 0.601 0.188
O10 0.460 0.171 0.022
O11 0.475 0.228 0.665
```

Calculated values
Its electronic total energy is -17.947 eV/atom. The density is 6998 kg/m3. As for the formation enthalpy at 0 K: -1219 meV per atom.



No. 7
# Bi2TeO5

A geometry-optimized Bi2TeO5 structure (meta-GGA r2SCAN, Materials Project).

Geometry as CIF:
```
data_Bi2TeO5
_cell_length_a 11.589
_cell_length_b 16.532
_cell_length_c 5.523
_cell_angle_alpha 90.00
_cell_angle_beta 90.00
_cell_angle_gamma 90.00
_symmetry_space_group_name_H-M 'A e m 2'
_symmetry_Int_Tables_number 39
_symmetry_space_group_name_Hall 'A 2 -2b'
loop_
_atom_site_label
_atom_site_fract_x
_atom_site_fract_y
_atom_site_fract_z
Bi1 0.108 0.085 0.000
Bi2 0.118 0.250 0.532
Bi3 0.374 0.250 0.016
Te1 0.367 0.081 0.496
O1 0.000 0.000 0.293
O2 0.016 0.161 0.725
O3 0.207 0.250 0.883
O4 0.236 0.045 0.658
O5 0.293 0.159 0.303
O6 0.432 0.148 0.737
```

Calculated values
Its electronic total energy is -22.844 eV/atom. The density is 7854 kg/m3. As for the formation enthalpy at 0 K: -1308 meV per atom.



No. 8
# Ti2Bi2O7

A geometry-optimized Ti2Bi2O7 structure (meta-GGA r2SCAN, Materials Project).

Geometry as CIF:
```
data_Ti2Bi2O7
_cell_length_a 7.360
_cell_length_b 10.397
_cell_length_c 7.417
_cell_angle_alpha 90.00
_cell_angle_beta 90.00
_cell_angle_gamma 90.00
_symmetry_space_group_name_H-M 'P n a 21'
_symmetry_Int_Tables_number 33
_symmetry_space_group_name_Hall 'P 2c -2n'
loop_
_atom_site_label
_atom_site_fract_x
_atom_site_fract_y
_atom_site_fract_z
Ti1 0.005 0.009 0.000
Ti2 0.244 0.740 0.241
Bi1 0.027 0.469 0.971
Bi2 0.225 0.762 0.791
O1 0.005 0.927 0.737
O2 0.009 0.316 0.756
O3 0.014 0.379 0.262
O4 0.175 0.865 0.046
O5 0.193 0.879 0.426
O6 0.203 0.116 0.926
O7 0.206 0.125 0.540
```

Calculated values
Its electronic total energy is -19.221 eV/atom. The density is 7323 kg/m3. As for the formation enthalpy at 0 K: -2431 meV per atom.